[1]
Compound: Na4Sb2C4SO16
Source: the Materials Project
Functional: GGA-PBE
Structure: optimized geometry

```
data_Na4Sb2C4SO16
_chemical_formula_sum 'Na16 Sb8 C16 S4 O64'
_cell_length_a 10.199
_cell_length_b 10.213
_cell_length_c 17.687
_cell_angle_alpha 74.08
_cell_angle_beta 73.53
_cell_angle_gamma 60.83
_space_group_name_H-M_alt 'P 1'
_space_group_IT_number 1
loop_
_space_group_symop_operation_xyz
'x,y,z'
loop_
_atom_site_label
_atom_site_fract_x
_atom_site_fract_y
_atom_site_fract_z
_atom_site_occupancy
Na1 0.000 0.000 0.000 1
Na2 0.001 0.589 0.001 1
Na3 0.084 0.509 0.497 1
Na4 0.176 0.178 0.676 1
Na5 0.207 0.796 0.797 1
Na6 0.275 0.708 0.296 1
Na7 0.287 0.304 0.296 1
Na8 0.370 0.371 0.871 1
Na9 0.479 0.871 0.371 1
Na10 0.499 0.494 0.504 1
Na11 0.506 0.090 0.502 1
Na12 0.588 0.002 0.001 1
Na13 0.674 0.673 0.175 1
Na14 0.704 0.287 0.295 1
Na15 0.795 0.207 0.796 1
Na16 0.797 0.798 0.794 1
Sb1 0.077 0.094 0.336 1
Sb2 0.326 0.839 0.083 1
Sb3 0.335 0.336 0.092 1
Sb4 0.335 0.827 0.588 1
Sb5 0.591 0.593 0.836 1
Sb6 0.829 0.338 0.584 1
Sb7 0.837 0.327 0.082 1
Sb8 0.837 0.835 0.586 1
C1 0.006 0.383 0.196 1
C2 0.008 0.010 0.193 1
C3 0.175 0.778 0.473 1
C4 0.176 0.166 0.476 1
C5 0.194 0.195 0.007 1
C6 0.276 0.666 0.974 1
C7 0.386 0.006 0.197 1
C8 0.474 0.480 0.171 1
C9 0.506 0.507 0.695 1
C10 0.508 0.884 0.696 1
C11 0.668 0.280 0.971 1
C12 0.674 0.669 0.977 1
C13 0.692 0.696 0.507 1
C14 0.776 0.171 0.474 1
C15 0.883 0.509 0.695 1
C16 0.976 0.979 0.671 1
S1 0.273 0.274 0.773 1
S2 0.397 0.398 0.398 1
S3 0.769 0.775 0.273 1
S4 0.898 0.898 0.898 1
O1 0.051 0.768 0.482 1
O2 0.063 0.199 0.011 1
O3 0.068 0.953 0.257 1
O4 0.076 0.942 0.131 1
O5 0.103 0.240 0.535 1
O6 0.113 0.961 0.672 1
O7 0.125 0.219 0.409 1
O8 0.139 0.376 0.193 1
O9 0.183 0.184 0.802 1
O10 0.186 0.422 0.804 1
O11 0.205 0.319 0.002 1
O12 0.218 0.590 0.032 1
O13 0.227 0.845 0.406 1
O14 0.249 0.486 0.369 1
O15 0.255 0.717 0.531 1
O16 0.266 0.794 0.982 1
O17 0.303 0.041 0.482 1
O18 0.303 0.302 0.683 1
O19 0.315 0.065 0.010 1
O20 0.323 0.060 0.264 1
O21 0.341 0.618 0.905 1
O22 0.359 0.613 0.171 1
O23 0.367 0.369 0.488 1
O24 0.381 0.634 0.692 1
O25 0.398 0.875 0.192 1
O26 0.422 0.187 0.804 1
O27 0.430 0.955 0.638 1
O28 0.435 0.083 0.134 1
O29 0.454 0.813 0.760 1
O30 0.456 0.362 0.172 1
O31 0.485 0.250 0.368 1
O32 0.488 0.488 0.369 1
O33 0.543 0.267 0.980 1
O34 0.558 0.444 0.762 1
O35 0.563 0.705 0.501 1
O36 0.578 0.447 0.630 1
O37 0.598 0.748 0.035 1
O38 0.609 0.461 0.173 1
O39 0.625 0.719 0.909 1
O40 0.640 0.880 0.690 1
O41 0.671 0.687 0.302 1
O42 0.675 0.923 0.305 1
O43 0.697 0.818 0.511 1
O44 0.718 0.346 0.904 1
O45 0.720 0.092 0.531 1
O46 0.745 0.220 0.030 1
O47 0.749 0.987 0.869 1
O48 0.763 0.299 0.484 1
O49 0.793 0.804 0.183 1
O50 0.798 0.544 0.986 1
O51 0.812 0.566 0.512 1
O52 0.812 0.573 0.759 1
O53 0.842 0.126 0.405 1
O54 0.862 0.112 0.672 1
O55 0.868 0.869 0.988 1
O56 0.883 0.136 0.190 1
O57 0.895 0.377 0.694 1
O58 0.914 0.685 0.303 1
O59 0.934 0.453 0.137 1
O60 0.940 0.579 0.632 1
O61 0.948 0.315 0.260 1
O62 0.958 0.862 0.671 1
O63 0.987 0.750 0.868 1
O64 0.988 0.988 0.869 1
```

Calculated values
formation energy = -181 kJ per mole of atoms

***

[2]
Compound: Na4Sb2C4SO16
Source: the Materials Project
Functional: GGA-PBE
Structure: optimized geometry

```
data_Na4Sb2C4SO16
_chemical_formula_sum 'Na8 Sb4 C8 S2 O32'
_cell_length_a 10.109
_cell_length_b 10.186
_cell_length_c 10.190
_cell_angle_alpha 118.98
_cell_angle_beta 90.92
_cell_angle_gamma 118.75
_space_group_name_H-M_alt 'P 1'
_space_group_IT_number 1
loop_
_space_group_symop_operation_xyz
'x,y,z'
loop_
_atom_site_label
_atom_site_fract_x
_atom_site_fract_y
_atom_site_fract_z
_atom_site_occupancy
Na1 0.000 0.000 0.000 1
Na2 0.003 0.002 0.591 1
Na3 0.148 0.503 0.843 1
Na4 0.154 0.519 0.263 1
Na5 0.390 0.004 0.004 1
Na6 0.734 0.096 0.840 1
Na7 0.737 0.495 0.842 1
Na8 0.745 0.503 0.253 1
Sb1 0.072 0.254 0.421 1
Sb2 0.566 0.746 0.923 1
Sb3 0.567 0.751 0.419 1
Sb4 0.568 0.250 0.430 1
C1 0.353 0.322 0.260 1
C2 0.353 0.691 0.641 1
C3 0.357 0.323 0.651 1
C4 0.406 0.811 0.194 1
C5 0.734 0.694 0.645 1
C6 0.791 0.193 0.191 1
C7 0.800 0.816 0.206 1
C8 0.801 0.198 0.594 1
S1 0.196 0.003 0.799 1
S2 0.943 0.498 0.045 1
O1 0.005 0.379 0.988 1
O2 0.127 0.116 0.854 1
O3 0.137 0.887 0.623 1
O4 0.138 0.888 0.865 1
O5 0.217 0.197 0.248 1
O6 0.221 0.307 0.647 1
O7 0.228 0.562 0.518 1
O8 0.356 0.706 0.777 1
O9 0.368 0.207 0.528 1
O10 0.368 0.465 0.277 1
O11 0.374 0.121 0.863 1
O12 0.396 0.687 0.057 1
O13 0.397 0.789 0.309 1
O14 0.426 0.954 0.211 1
O15 0.474 0.307 0.256 1
O16 0.480 0.809 0.635 1
O17 0.482 0.457 0.778 1
O18 0.675 0.065 0.057 1
O19 0.682 0.217 0.596 1
O20 0.686 0.691 0.215 1
O21 0.718 0.555 0.635 1
O22 0.737 0.706 0.523 1
O23 0.745 0.822 0.778 1
O24 0.763 0.379 0.985 1
O25 0.776 0.309 0.308 1
O26 0.787 0.068 0.600 1
O27 0.792 0.802 0.071 1
O28 0.922 0.958 0.332 1
O29 0.927 0.205 0.205 1
O30 0.933 0.312 0.590 1
O31 0.998 0.610 0.978 1
O32 0.998 0.611 0.221 1
```

Calculated values
formation energy = -182 kJ per mole of atoms

***

[3]
Compound: Na4Sb2C4SO16
Source: the Materials Project
Functional: GGA-PBE
Structure: optimized geometry

```
data_Na4Sb2C4SO16
_chemical_formula_sum 'Na32 Sb16 C32 S8 O128'
_cell_length_a 14.289
_cell_length_b 14.596
_cell_length_c 14.664
_cell_angle_alpha 90.00
_cell_angle_beta 90.00
_cell_angle_gamma 90.00
_space_group_name_H-M_alt 'F 2 2 2'
_space_group_IT_number 22
_space_group_name_Hall 'F 2 2'
loop_
_atom_site_label
_atom_site_fract_x
_atom_site_fract_y
_atom_site_fract_z
_atom_site_occupancy
Na1 0.000 0.000 0.206 1
Na2 0.000 0.207 0.000 1
Na3 0.053 0.250 0.250 1
Na4 0.205 0.000 0.000 1
Sb1 0.130 0.122 0.623 1
C1 0.095 0.093 0.406 1
C2 0.148 0.152 0.846 1
S1 0.000 0.000 0.000 1
S2 0.250 0.250 0.250 1
O1 0.033 0.101 0.342 1
O2 0.060 0.059 0.059 1
O3 0.088 0.219 0.856 1
O4 0.097 0.152 0.472 1
O5 0.140 0.094 0.779 1
O6 0.155 0.026 0.406 1
O7 0.188 0.191 0.191 1
O8 0.216 0.142 0.905 1
```

Calculated values
formation energy = -181 kJ per mole of atoms

***

[4]
Compound: Na2SnCSO7
Source: the Materials Project
Functional: GGA-PBE
Structure: optimized geometry

```
data_Na2SnCSO7
_chemical_formula_sum 'Na4 Sn2 C2 S2 O14'
_cell_length_a 5.477
_cell_length_b 7.107
_cell_length_c 9.379
_cell_angle_alpha 90.00
_cell_angle_beta 92.67
_cell_angle_gamma 90.00
_space_group_name_H-M_alt 'P 1 21/m 1'
_space_group_IT_number 11
loop_
_space_group_symop_operation_xyz
'x,y,z'
'-x,-y,-z'
'-x,y+1/2,-z'
'x,-y+1/2,z'
loop_
_atom_site_label
_atom_site_fract_x
_atom_site_fract_y
_atom_site_fract_z
_atom_site_occupancy
Na1 0.235 0.004 0.210 1
Sn1 0.233 0.250 0.626 1
C1 0.263 0.250 0.917 1
S1 0.268 0.750 0.606 1
O1 0.054 0.250 0.839 1
O2 0.141 0.581 0.663 1
O3 0.245 0.750 0.445 1
O4 0.266 0.250 0.052 1
O5 0.463 0.250 0.844 1
O6 0.470 0.250 0.347 1
```

Calculated values
formation energy = -192 kJ per mole of atoms